Version one
A geometry-optimized TeMoWSe2S structure, computed with PBE.

The structure in POSCAR format:
```
TeMoWSe2S
1.0
-1.995 1.605 -2.153
-0.809 -3.068 1.062
-19.271 15.182 29.170
Mo S Te Se W
2 2 2 4 2
Cartesian
-7.030 4.325 7.138
-3.014 -0.084 2.730
-4.177 2.077 2.819
-2.643 0.869 0.498
-12.912 7.713 17.712
-14.841 9.233 20.632
-11.497 7.845 13.901
-9.802 6.509 11.335
-5.791 2.103 6.933
-7.478 3.432 9.486
-10.254 5.619 13.689
-14.272 10.031 18.101
```

Version two
A geometry-optimized TeMoWSe2S structure, computed with PBE.

The structure in POSCAR format:
```
TeMoWSe2S
1.0
-2.817 -1.795 -0.093
1.935 -0.066 2.724
-19.263 29.480 14.392
Te S Se W Mo
2 2 4 2 2
Cartesian
-0.498 0.656 2.419
-2.418 3.595 3.854
-9.467 14.383 9.121
-7.926 12.024 7.969
-11.818 18.086 8.830
-13.514 20.682 10.097
-4.585 7.017 3.426
-6.273 9.600 4.687
-12.315 18.742 11.249
-9.047 13.846 6.759
-1.808 2.767 1.351
-5.078 7.666 5.841
```

Bottom line: version two, by a margin of 36 meV per atom.

Version one
A geometry-optimized TeMoWSe2S structure, computed with PBE.

The structure in POSCAR format:
```
TeMoWSe2S
1.0
-2.574 1.159 1.788
-0.373 -0.611 -3.264
-10.593 -35.698 7.898
Se Mo W Te S
4 2 2 2 2
Cartesian
-3.451 -11.631 2.573
-2.519 -8.490 1.878
-6.546 -18.351 2.476
-5.618 -15.224 1.784
-0.994 -3.351 0.741
-4.975 -16.766 3.709
-4.092 -10.081 0.646
-8.072 -23.494 3.613
-2.629 -5.151 -0.445
-1.574 -1.594 -1.232
-6.541 -22.044 4.877
-7.389 -24.901 5.509
```

Version two
A geometry-optimized TeMoWSe2S structure, computed with PBE.

The structure in POSCAR format:
```
TeMoWSe2S
1.0
0.359 1.814 2.790
-1.518 1.324 -2.673
-33.502 -12.844 12.664
Se Mo Te S W
4 2 2 2 2
Cartesian
-11.807 -2.697 3.274
-1.946 1.007 1.604
-8.859 -1.567 2.159
-4.879 -0.118 2.712
-4.038 0.281 0.337
-16.627 -4.545 5.096
-24.599 -7.601 8.109
-21.243 -6.315 6.841
-17.336 -4.893 7.421
-14.667 -3.870 6.412
-9.708 -1.969 4.537
-22.296 -6.795 9.296
```

Version three
A geometry-optimized TeMoWSe2S structure, computed with PBE.

The structure in POSCAR format:
```
TeMoWSe2S
1.0
1.672 -2.896 0.000
1.672 2.896 0.000
0.000 0.000 38.050
Se Te Mo S W
4 2 2 2 2
Cartesian
1.672 -0.965 19.534
1.672 0.965 12.387
1.672 0.965 9.057
1.672 -0.965 16.205
1.672 0.965 23.114
1.672 0.965 26.926
1.672 -0.965 10.723
1.672 0.965 17.871
1.672 -0.965 2.050
1.672 -0.965 5.097
1.672 0.965 3.574
1.672 -0.965 25.021
```

Bottom line: version one, by a margin of 21 meV per atom.

Version one
A geometry-optimized TeMoWSe2S structure, computed with PBE.

The structure in POSCAR format:
```
TeMoWSe2S
1.0
1.670 -2.893 0.000
1.670 2.893 0.000
0.000 0.000 38.074
Te Mo S Se W
2 2 2 4 2
Cartesian
1.670 0.964 12.624
1.670 0.964 8.832
1.670 -0.964 10.729
1.670 0.964 17.883
1.670 -0.964 2.053
1.670 -0.964 5.099
1.670 -0.964 16.216
1.670 -0.964 19.550
1.670 0.964 23.360
1.670 0.964 26.710
1.670 0.964 3.576
1.670 -0.964 25.035
```

Version two
A geometry-optimized TeMoWSe2S structure, computed with PBE.

The structure in POSCAR format:
```
TeMoWSe2S
1.0
-0.294 3.206 0.909
-1.041 -0.984 -3.024
-34.613 -7.218 14.261
S Se Mo Te W
2 4 2 2 2
Cartesian
-11.923 -1.908 2.873
-9.168 -1.334 1.738
-2.280 1.447 0.314
-18.319 -1.897 6.922
-15.277 -1.263 5.668
-5.308 0.816 1.561
-4.042 -0.265 -0.374
-10.297 -0.224 3.617
-21.820 -3.972 6.951
-25.285 -4.695 8.378
-17.047 -2.977 4.984
-23.304 -2.937 8.976
```

Version three
A geometry-optimized TeMoWSe2S structure, computed with PBE.

The structure in POSCAR format:
```
TeMoWSe2S
1.0
1.672 -2.896 0.000
1.672 2.896 0.000
0.000 0.000 38.052
Te S Se W Mo
2 2 4 2 2
Cartesian
1.672 0.965 1.675
1.672 0.965 5.472
0.000 0.000 12.239
0.000 0.000 9.207
1.672 0.965 19.547
1.672 0.965 16.196
0.000 0.000 26.695
0.000 0.000 23.346
1.672 0.965 25.021
0.000 0.000 17.872
1.672 0.965 10.723
0.000 0.000 3.573
```

Version four
A geometry-optimized TeMoWSe2S structure, computed with PBE.

The structure in POSCAR format:
```
TeMoWSe2S
1.0
1.671 -2.895 0.000
1.671 2.895 0.000
0.000 0.000 38.043
Te W Mo S Se
2 2 2 2 4
Cartesian
1.671 0.965 23.109
1.671 0.965 26.921
1.671 -0.965 25.016
1.671 0.965 17.867
1.671 0.965 3.572
1.671 -0.965 10.721
1.671 -0.965 19.389
1.671 -0.965 16.345
1.671 -0.965 1.908
1.671 0.965 12.385
1.671 0.965 9.055
1.671 -0.965 5.238
```

Bottom line: version one, by a margin of 15 meV per atom.

Version one
A geometry-optimized TeMoWSe2S structure, computed with PBE.

The structure in POSCAR format:
```
TeMoWSe2S
1.0
-3.150 1.067 -0.329
0.636 -2.860 1.606
3.040 19.077 32.768
W Te S Se Mo
2 2 2 4 2
Cartesian
1.428 8.959 15.389
1.373 10.992 22.507
-0.492 -0.711 2.405
-0.189 1.191 5.672
1.877 11.779 20.233
2.121 13.308 22.859
0.936 8.248 17.794
0.668 6.569 14.909
0.990 6.212 10.670
0.723 4.540 7.799
0.285 1.791 3.077
0.231 3.824 10.195
```

Version two
A geometry-optimized TeMoWSe2S structure, computed with PBE.

The structure in POSCAR format:
```
TeMoWSe2S
1.0
1.673 -2.897 0.000
1.673 2.897 0.000
0.000 0.000 38.141
W Te S Se Mo
2 2 2 4 2
Cartesian
1.673 0.966 17.916
1.673 -0.966 10.745
1.673 0.966 8.837
1.673 0.966 12.654
1.673 -0.966 2.065
1.673 -0.966 5.098
1.673 -0.966 16.240
1.673 0.966 23.411
1.673 0.966 26.747
1.673 -0.966 19.592
1.673 0.966 3.581
1.673 -0.966 25.079
```

Bottom line: version one, by a margin of 36 meV per atom.

Version one
A geometry-optimized TeMoWSe2S structure, computed with PBE.

The structure in POSCAR format:
```
TeMoWSe2S
1.0
-1.296 -0.674 -3.005
-1.290 -1.425 2.734
-24.083 29.170 3.846
Mo Se S Te W
2 4 2 2 2
Cartesian
-3.553 1.564 1.182
-17.130 18.257 1.437
-9.139 8.330 2.074
-7.018 5.761 1.735
-4.611 3.093 -0.563
-2.500 0.537 -0.900
-11.641 11.608 0.560
-13.569 13.943 0.868
-15.927 16.551 3.158
-18.328 19.460 3.541
-12.603 12.525 2.627
-8.081 7.296 -0.009
```

Version two
A geometry-optimized TeMoWSe2S structure, computed with PBE.

The structure in POSCAR format:
```
TeMoWSe2S
1.0
1.672 -2.896 0.000
1.672 2.896 0.000
0.000 0.000 38.056
S Se Te W Mo
2 4 2 2 2
Cartesian
1.672 0.965 12.246
1.672 0.965 9.202
1.672 -0.965 1.909
1.672 -0.965 19.538
1.672 -0.965 16.207
1.672 -0.965 5.239
1.672 0.965 23.118
1.672 0.965 26.930
1.672 -0.965 10.725
1.672 -0.965 25.024
1.672 0.965 3.574
1.672 0.965 17.872
```

Version three
A geometry-optimized TeMoWSe2S structure, computed with PBE.

The structure in POSCAR format:
```
TeMoWSe2S
1.0
0.187 1.735 2.855
-2.690 0.301 -1.968
-16.783 -28.717 18.555
W Te Se S Mo
2 2 4 2 2
Cartesian
-11.809 -17.627 13.449
-3.307 -1.918 1.383
-13.607 -19.542 12.770
-11.927 -16.667 10.913
-3.086 -2.703 3.806
-7.919 -10.972 9.149
-9.388 -13.486 10.774
-1.610 -0.177 2.174
-5.792 -6.170 4.130
-7.129 -8.457 5.608
-5.501 -6.835 6.476
-9.613 -12.707 8.354
```

Bottom line: version one, by a margin of 20 meV per atom.

Version one
A geometry-optimized TeMoWSe2S structure, computed with PBE.

The structure in POSCAR format:
```
TeMoWSe2S
1.0
1.671 -2.894 0.000
1.671 2.894 0.000
0.000 0.000 38.072
Te Se W S Mo
2 4 2 2 2
Cartesian
1.671 0.965 12.626
1.671 0.965 8.833
1.671 -0.965 5.242
1.671 -0.965 1.908
1.671 0.965 26.709
1.671 0.965 23.359
1.671 -0.965 25.034
1.671 0.965 17.881
1.671 -0.965 16.358
1.671 -0.965 19.405
1.671 -0.965 10.730
1.671 0.965 3.575
```

Version two
A geometry-optimized TeMoWSe2S structure, computed with PBE.

The structure in POSCAR format:
```
TeMoWSe2S
1.0
-0.749 0.406 -3.234
-0.354 -3.001 1.435
-35.854 8.724 9.396
Se Te Mo S W
4 2 2 2 2
Cartesian
-11.683 2.843 3.062
-21.998 5.352 5.765
-25.153 6.120 6.592
-8.528 2.075 2.235
-2.066 -1.480 0.292
-5.636 -0.612 1.228
-16.839 4.097 4.413
-3.365 0.819 0.882
-18.752 2.579 4.665
-15.898 1.885 3.917
-10.592 0.594 2.527
-24.061 3.871 6.056
```

Bottom line: version one, by a margin of 16 meV per atom.

Version one
A geometry-optimized Te2Mo3WSe2S4 structure, computed with PBE.

The structure in POSCAR format:
```
Te2Mo3WSe2S4
1.0
1.655 -2.866 0.000
1.655 2.866 0.000
0.000 0.000 39.439
Mo S W Se Te
3 4 1 2 2
Cartesian
0.000 0.000 18.478
1.655 0.955 11.097
0.000 0.000 3.704
0.000 0.000 9.572
0.000 0.000 12.627
1.655 0.955 2.176
1.655 0.955 5.232
1.655 0.955 25.994
0.000 0.000 27.680
0.000 0.000 24.305
1.655 0.955 20.393
1.655 0.955 16.565
```

Version two
A geometry-optimized Te2Mo3WSe2S4 structure, computed with PBE.

The structure in POSCAR format:
```
Te2Mo3WSe2S4
1.0
1.655 -2.867 0.000
1.655 2.867 0.000
0.000 0.000 37.616
W Se S Mo Te
1 2 4 3 2
Cartesian
1.655 -0.956 24.735
1.655 -0.956 5.213
1.655 -0.956 1.854
1.655 0.956 12.127
1.655 -0.956 19.194
1.655 0.956 9.073
1.655 -0.956 16.138
1.655 -0.956 10.600
1.655 0.956 17.666
1.655 0.956 3.533
1.655 0.956 26.658
1.655 0.956 22.809
```

Version three
A geometry-optimized Te2Mo3WSe2S4 structure, computed with PBE.

The structure in POSCAR format:
```
Te2Mo3WSe2S4
1.0
1.653 -2.863 0.000
1.653 2.863 0.000
0.000 0.000 38.651
Mo Te S Se W
3 2 4 2 1
Cartesian
1.653 -0.954 10.851
1.653 0.954 3.593
1.653 0.954 18.216
1.653 0.954 8.937
1.653 0.954 12.766
1.653 0.954 23.894
1.653 -0.954 2.064
1.653 -0.954 5.124
1.653 0.954 26.962
1.653 -0.954 19.893
1.653 -0.954 16.536
1.653 -0.954 25.428
```

Bottom line: version three, by a margin of 16 meV per atom.